Record 1
Computed, not measured: YMg6AlO8 after structural relaxation at the PBE-GGA level of DFT.

Geometry as CIF:
```
data_YMg6AlO8
_cell_length_a 9.085
_cell_length_b 4.435
_cell_length_c 4.435
_cell_angle_alpha 90.00
_cell_angle_beta 90.00
_cell_angle_gamma 90.00
_symmetry_space_group_name_H-M 'P 1'
_symmetry_Int_Tables_number 1
loop_
_symmetry_equiv_pos_as_xyz
'x,y,z'
loop_
_atom_site_label
_atom_site_fract_x
_atom_site_fract_y
_atom_site_fract_z
O1 0.500 0.500 0.000
O2 0.739 0.500 0.500
O3 0.000 0.500 0.000
O4 0.500 0.000 0.500
O5 0.724 0.000 0.000
O6 0.261 0.500 0.500
O7 0.276 0.000 0.000
O8 0.000 0.000 0.500
Mg1 0.270 0.000 0.500
Mg2 0.270 0.500 0.000
Mg3 0.730 0.000 0.500
Mg4 0.730 0.500 0.000
Mg5 0.500 0.000 0.000
Mg6 0.500 0.500 0.500
Al1 0.000 0.000 0.000
Y1 0.000 0.500 0.500
```

Output
- space-group type = P4/mmm (123)
- ρ (g/cm3) = 3.6
- energy (eV for the cell shown) = -97.9
- ΔE_f (meV/atom) = -2752



Record 2
Computed, not measured: CaBiO3 after structural relaxation at the PBE-GGA level of DFT.

Geometry as CIF:
```
data_CaBiO3
_cell_length_a 5.832
_cell_length_b 6.037
_cell_length_c 8.734
_cell_angle_alpha 90.00
_cell_angle_beta 90.00
_cell_angle_gamma 90.00
_symmetry_space_group_name_H-M 'P 1'
_symmetry_Int_Tables_number 1
loop_
_symmetry_equiv_pos_as_xyz
'x,y,z'
loop_
_atom_site_label
_atom_site_fract_x
_atom_site_fract_y
_atom_site_fract_z
O1 0.667 0.330 0.084
O2 0.335 0.890 0.250
O3 0.833 0.830 0.084
O4 0.333 0.670 0.584
O5 0.167 0.170 0.916
O6 0.333 0.670 0.916
O7 0.833 0.830 0.416
O8 0.835 0.610 0.750
O9 0.667 0.330 0.416
O10 0.167 0.170 0.584
O11 0.165 0.390 0.250
O12 0.665 0.110 0.750
Ca1 0.000 0.500 0.000
Ca2 0.500 0.000 0.500
Ca3 0.000 0.500 0.500
Ca4 0.500 0.000 0.000
Bi1 0.007 0.971 0.750
Bi2 0.993 0.029 0.250
Bi3 0.493 0.471 0.750
Bi4 0.507 0.529 0.250
```

Output
- space-group type = Pnma (62)
- ρ (g/cm3) = 6.4
- energy (eV for the cell shown) = -118.0
- ΔE_f (meV/atom) = -2165



Record 3
Computed, not measured: InSi2H19C7Br2 after structural relaxation at the PBE-GGA level of DFT.

Geometry as CIF:
```
data_InSi2H19C7Br2
_cell_length_a 9.886
_cell_length_b 14.169
_cell_length_c 14.614
_cell_angle_alpha 62.67
_cell_angle_beta 78.67
_cell_angle_gamma 81.73
_symmetry_space_group_name_H-M 'P 1'
_symmetry_Int_Tables_number 1
loop_
_symmetry_equiv_pos_as_xyz
'x,y,z'
loop_
_atom_site_label
_atom_site_fract_x
_atom_site_fract_y
_atom_site_fract_z
C1 0.043 0.743 0.106
C2 0.834 0.176 0.645
C3 0.005 0.359 0.480
C4 0.406 0.818 0.672
C5 0.489 0.615 0.648
C6 0.820 0.925 0.043
C7 0.957 0.257 0.894
C8 0.594 0.182 0.328
C9 0.701 0.400 0.542
C10 0.180 0.075 0.957
C11 0.224 0.273 0.746
C12 0.166 0.824 0.355
C13 0.510 0.649 0.005
C14 0.490 0.351 0.995
C15 0.233 0.294 0.944
C16 0.791 0.272 0.412
C17 0.486 0.831 0.455
C18 0.995 0.641 0.520
C19 0.406 0.121 0.111
C20 0.470 0.785 0.119
C21 0.511 0.385 0.352
C22 0.530 0.215 0.881
C23 0.767 0.706 0.056
C24 0.209 0.728 0.588
C25 0.299 0.600 0.458
C26 0.776 0.727 0.254
C27 0.514 0.169 0.545
C28 0.594 0.879 0.889
H1 0.300 0.523 0.528
H2 0.464 0.578 0.733
H3 0.560 0.638 0.936
H4 0.635 0.195 0.903
H5 0.270 0.586 0.397
H6 0.534 0.440 0.380
H7 0.364 0.055 0.108
H8 0.248 0.376 0.880
H9 0.365 0.805 0.097
H10 0.700 0.477 0.472
H11 0.399 0.374 0.372
H12 0.516 0.817 0.676
H13 0.016 0.389 0.535
H14 0.338 0.271 0.733
H15 0.730 0.414 0.603
H16 0.752 0.624 0.120
H17 0.815 0.645 0.300
H18 0.591 0.843 0.461
H19 0.400 0.670 0.999
H20 0.099 0.786 0.027
H21 0.662 0.729 0.267
H22 0.464 0.716 0.196
H23 0.636 0.945 0.892
H24 0.365 0.901 0.639
H25 0.567 0.090 0.583
H26 0.409 0.157 0.539
H27 0.181 0.656 0.662
H28 0.466 0.560 0.620
H29 0.185 0.355 0.700
H30 0.500 0.147 0.874
H31 0.595 0.373 0.567
H32 0.600 0.330 0.001
H33 0.908 0.700 0.518
H34 0.405 0.627 0.433
H35 0.648 0.224 0.248
H36 0.536 0.422 0.267
H37 0.852 0.954 0.959
H38 0.931 0.342 0.868
H39 0.342 0.135 0.175
H40 0.193 0.223 0.716
H41 0.915 0.116 0.638
H42 0.536 0.284 0.804
H43 0.148 0.046 0.041
H44 0.120 0.037 0.929
H45 0.519 0.572 0.074
H46 0.266 0.862 0.328
H47 0.511 0.095 0.131
H48 0.015 0.426 0.401
H49 0.880 0.963 0.071
H50 0.601 0.626 0.628
H51 0.855 0.195 0.705
H52 0.092 0.300 0.482
H53 0.919 0.233 0.842
H54 0.807 0.777 0.284
H55 0.496 0.791 0.405
H56 0.069 0.658 0.132
H57 0.433 0.910 0.417
H58 0.085 0.884 0.362
H59 0.985 0.574 0.599
H60 0.440 0.362 0.064
H61 0.145 0.805 0.295
H62 0.504 0.209 0.595
H63 0.710 0.950 0.057
H64 0.500 0.853 0.126
H65 0.734 0.138 0.672
H66 0.290 0.050 0.943
H67 0.481 0.428 0.926
H68 0.081 0.767 0.158
H69 0.635 0.099 0.361
H70 0.484 0.183 0.324
H71 0.658 0.865 0.825
H72 0.901 0.214 0.973
H73 0.819 0.344 0.338
H74 0.352 0.776 0.752
H75 0.984 0.611 0.465
H76 0.489 0.905 0.869
Br1 0.844 0.668 0.773
Br2 0.836 0.943 0.524
Br3 0.156 0.332 0.227
Br4 0.977 0.125 0.217
Br5 0.845 0.423 0.060
Br6 0.023 0.875 0.783
Br7 0.155 0.577 0.940
Br8 0.164 0.057 0.476
Si1 0.606 0.250 0.411
Si2 0.412 0.244 0.984
Si3 0.168 0.700 0.481
Si4 0.149 0.224 0.888
Si5 0.832 0.300 0.519
Si6 0.394 0.750 0.589
Si7 0.588 0.756 0.016
Si8 0.851 0.776 0.112
In1 0.904 0.665 0.940
In2 0.096 0.335 0.060
In3 0.054 0.842 0.616
In4 0.946 0.158 0.384
```

Output
- space-group type = P-1 (2)
- ρ (g/cm3) = 1.6
- energy (eV for the cell shown) = -615.4
- ΔE_f (meV/atom) = -290



Question: What is the ΔE_f in the third record?
Answer: -290 meV/atom



Question: The lowest energy belongs to which entry?
Answer: InSi2H19C7Br2